(1)
VASP calculation (PBE+U) on a relaxed Mn5SnO8 crystal.

Summary:
Energy of formation from the pure elements   -1.97 eV per atom
DFT total energy   -206.36 eV per cell
Energy above the lowest structure with this stoichiometry   14 meV per atom

```
Mn5SnO8
1.0
-6.108 -0.001 0.000
0.001 6.108 0.000
0.000 0.000 -9.293
Mn Sn O
10 2 16
Cartesian
0.000 3.054 -6.974
-6.107 1.470 -3.516
-3.053 4.533 -8.163
0.001 4.637 -3.516
-3.054 1.574 -8.163
-3.053 6.107 -2.319
-4.533 3.053 -1.130
-1.470 6.107 -5.777
-1.574 3.054 -1.130
-4.636 -0.001 -5.777
0.001 6.107 0.000
-3.053 3.053 -4.647
-4.710 3.054 -3.466
-1.649 0.000 -8.116
-1.396 3.053 -3.466
-4.458 6.107 -8.116
0.000 1.648 -1.177
-3.053 4.710 -5.828
-6.107 4.458 -1.177
-3.053 1.396 -5.828
-4.715 -0.001 -3.548
-1.658 3.054 -8.187
-1.392 6.107 -3.548
-4.449 3.053 -8.187
-3.054 1.658 -1.106
0.000 4.715 -5.746
-3.053 4.449 -1.106
0.000 1.393 -5.746
```

(2)
VASP calculation (PBE+U) on a relaxed Li7Co5O12 crystal.

Summary:
Energy of formation from the pure elements   -1.76 eV per atom
DFT total energy   -134.15 eV per cell
Energy above the lowest structure with this stoichiometry   0 meV per atom

```
Li7Co5O12
1.0
2.455 -4.245 0.000
2.455 4.245 0.000
-1.676 0.000 9.462
Li Co O
7 5 12
Cartesian
0.000 0.000 0.000
0.794 1.377 2.354
-0.061 0.000 7.104
0.794 -1.377 2.354
2.439 1.377 7.109
3.294 0.000 2.358
2.439 -1.377 7.109
1.616 2.854 4.731
2.455 1.406 0.000
1.616 0.000 4.731
2.455 -1.406 0.000
1.616 -2.854 4.731
1.548 2.717 1.058
-0.019 0.000 3.692
0.800 1.390 5.752
1.685 2.717 8.404
1.752 0.000 1.054
2.433 1.390 3.710
0.800 -1.390 5.752
1.481 0.000 8.408
1.548 -2.717 1.058
2.433 -1.390 3.710
3.252 0.000 5.771
1.685 -2.717 8.404
```

(3)
VASP calculation (PBE+U) on a relaxed K2Li2NiO4 crystal.

Summary:
Energy of formation from the pure elements   -1.47 eV per atom
DFT total energy   -158.29 eV per cell
Energy above the lowest structure with this stoichiometry   0 meV per atom

```
K2Li2NiO4
1.0
5.570 0.000 0.000
0.104 8.937 0.000
1.492 0.565 10.260
K Li Ni O
8 8 4 16
Cartesian
0.000 0.000 0.000
0.844 2.284 5.009
1.565 4.556 2.433
2.494 7.426 7.580
3.680 4.475 5.593
4.411 3.244 9.844
4.700 0.780 7.341
4.493 6.444 2.513
0.684 0.185 2.964
2.189 5.179 9.657
1.676 6.794 0.622
2.882 8.847 1.593
4.236 8.961 4.329
5.205 7.106 5.723
6.185 5.179 6.939
5.537 2.285 1.626
1.532 3.076 8.207
1.752 7.220 4.339
3.419 2.055 3.007
5.248 6.939 9.476
0.888 5.703 4.960
1.663 3.271 10.018
1.937 1.414 7.850
2.279 4.667 7.794
1.726 7.422 2.459
1.774 1.713 2.273
2.602 5.231 0.001
3.441 7.295 4.963
3.518 1.879 4.759
4.487 8.571 9.994
4.326 3.556 2.677
4.448 0.612 2.344
5.354 6.871 7.666
5.580 3.336 7.284
6.124 8.570 4.840
6.937 6.851 10.184
```

(4)
VASP calculation (PBE+U) on a relaxed Li5Fe2Cu5O12 crystal.

Summary:
Energy of formation from the pure elements   -1.44 eV per atom
DFT total energy   -128.14 eV per cell

```
Li5Fe2Cu5O12
1.0
2.751 -4.249 0.000
2.751 4.249 0.000
-0.358 0.000 9.706
Li Fe Cu O
5 2 5 12
Cartesian
0.000 0.000 0.000
1.225 1.455 2.378
1.113 0.021 7.342
3.920 1.455 7.328
4.032 0.021 2.365
2.573 2.852 4.853
2.751 -1.436 0.000
2.751 1.446 0.000
1.227 -1.356 2.418
2.573 0.055 4.853
2.573 -2.854 4.853
3.918 -1.356 7.289
1.802 2.777 0.990
0.393 -0.009 3.552
1.975 1.432 6.096
3.343 2.777 8.716
2.102 0.010 1.165
3.170 1.432 3.611
1.707 -1.384 5.813
3.044 0.010 8.541
2.073 -2.679 1.321
3.438 -1.384 3.893
4.752 -0.009 6.155
3.072 -2.679 8.386
```

(5)
VASP calculation (PBE+U) on a relaxed Ta2MnO6 crystal.

Summary:
Energy of formation from the pure elements   -3.08 eV per atom
DFT total energy   -337.85 eV per cell
Energy above the lowest structure with this stoichiometry   23 meV per atom

```
Ta2MnO6
1.0
7.146 0.000 0.000
0.000 5.819 0.000
-2.696 0.000 10.519
Ta Mn O
8 4 24
Cartesian
-0.674 0.868 2.630
-2.022 4.951 7.889
-0.388 1.961 6.080
0.960 3.858 0.820
2.899 1.864 2.630
1.551 3.955 7.889
3.490 1.961 9.699
4.838 3.858 4.439
-0.013 1.029 9.657
1.335 4.790 4.398
3.115 1.029 6.121
4.463 4.790 0.862
-1.712 2.294 10.009
-0.364 3.525 4.750
-0.183 0.775 4.569
-1.531 5.044 9.828
-0.745 0.664 7.518
0.603 5.155 2.258
0.833 2.156 2.300
-0.516 3.663 7.559
1.457 2.314 6.538
2.805 3.505 1.279
3.178 0.704 1.203
1.830 5.115 6.463
2.620 0.704 4.056
1.272 5.115 9.316
1.644 2.314 9.241
2.993 3.505 3.981
4.965 2.156 2.960
3.617 3.663 8.219
3.847 0.664 8.261
5.195 5.155 3.001
5.980 0.775 0.691
4.632 5.044 5.950
4.814 2.294 5.770
6.162 3.525 0.510
```

(6)
VASP calculation (PBE+U) on a relaxed Co3P6O20 crystal.

Summary:
Energy of formation from the pure elements   -2.17 eV per atom
DFT total energy   -394.17 eV per cell

```
Co3P6O20
1.0
5.061 -6.643 0.000
5.061 6.643 0.000
0.000 0.000 12.396
Co P O
6 12 40
Cartesian
5.061 3.993 9.297
5.061 3.227 3.099
3.651 0.000 6.198
6.472 0.000 0.000
5.061 -3.227 9.297
5.061 -3.993 3.099
2.740 1.847 10.129
2.648 0.813 3.441
4.516 2.722 12.222
2.648 -0.813 8.955
5.606 2.722 6.371
2.740 -1.847 2.267
7.383 1.847 8.464
4.516 -2.722 0.174
7.475 0.813 2.757
5.606 -2.722 6.024
7.475 -0.813 9.638
7.383 -1.847 3.931
3.806 4.641 3.724
1.332 1.293 2.866
3.086 2.142 11.669
3.646 2.623 9.210
4.244 3.152 1.249
4.906 3.884 11.311
5.217 3.884 7.282
1.332 -1.293 9.530
3.748 1.844 3.599
2.442 0.059 4.775
2.442 -0.059 7.620
6.317 4.641 2.473
3.165 0.296 10.026
3.165 -0.296 2.370
4.631 1.537 6.490
5.879 3.152 4.949
5.492 1.537 12.104
6.477 2.623 9.383
3.086 -2.142 0.726
6.375 1.844 2.599
3.748 -1.844 8.797
7.037 2.142 6.924
3.646 -2.623 3.186
4.631 -1.537 5.906
4.244 -3.152 11.146
5.492 -1.537 0.292
6.958 0.296 8.567
6.958 -0.296 3.828
3.806 -4.641 8.671
7.681 0.059 1.422
7.681 -0.059 10.973
6.375 -1.844 9.797
8.791 1.293 3.332
4.906 -3.884 1.084
5.217 -3.884 5.113
5.879 -3.152 7.447
6.477 -2.623 3.012
7.037 -2.142 5.471
8.791 -1.293 9.063
6.317 -4.641 9.922
```

(7)
VASP calculation (PBE+U) on a relaxed Mn2FeC14O14 crystal.

Summary:
Energy of formation from the pure elements   -0.73 eV per atom
DFT total energy   -465.41 eV per cell

```
Mn2FeC14O14
1.0
6.177 -7.395 0.000
6.177 7.395 0.000
-1.614 0.000 11.919
Mn Fe C O
4 2 28 28
Cartesian
6.177 4.470 0.000
2.520 0.000 6.745
8.220 0.000 5.174
6.177 -4.470 0.000
0.000 0.000 0.000
5.370 0.000 5.959
2.874 4.651 11.161
0.771 0.000 1.647
0.048 0.000 11.165
0.770 0.000 7.195
5.422 4.562 1.703
2.318 1.354 5.476
5.318 4.562 10.215
2.988 1.311 7.979
6.177 2.654 0.000
7.866 4.651 0.757
2.318 -1.354 5.476
5.370 1.830 5.959
2.988 -1.311 7.979
4.898 0.000 4.202
5.842 0.000 7.717
7.752 1.311 3.940
5.370 -1.830 5.959
8.422 1.354 6.442
2.874 -4.651 11.161
6.177 -2.654 0.000
7.752 -1.311 3.940
5.422 -4.562 1.703
8.422 -1.354 6.442
5.318 -4.562 10.215
9.970 0.000 4.724
10.692 0.000 0.754
9.969 0.000 10.272
7.866 -4.651 0.757
-0.354 0.000 7.484
2.743 2.648 1.232
2.158 2.231 4.737
4.955 4.581 2.763
1.285 0.000 2.683
1.105 0.000 10.689
3.247 2.130 8.755
5.786 4.581 9.155
5.370 2.986 5.959
2.158 -2.231 4.737
6.177 1.496 0.000
4.603 0.000 3.084
2.743 -2.648 1.232
7.493 2.130 3.164
3.247 -2.130 8.755
7.997 2.648 10.687
6.137 0.000 8.835
6.177 -1.496 0.000
8.582 2.231 7.181
5.370 -2.986 5.959
4.955 -4.581 2.763
7.493 -2.130 3.164
9.635 0.000 1.229
9.455 0.000 9.236
5.786 -4.581 9.155
8.582 -2.231 7.181
7.997 -2.648 10.687
11.094 0.000 4.434
```

(8)
VASP calculation (PBE+U) on a relaxed MgTiV4CoO12 crystal.

Summary:
Energy of formation from the pure elements   -2.45 eV per atom
DFT total energy   -142.20 eV per cell
Energy above the lowest structure with this stoichiometry   40 meV per atom

```
MgTiV4CoO12
1.0
5.566 0.000 0.000
1.323 7.042 0.000
1.323 0.820 7.001
Mg Ti V Co O
1 1 4 1 12
Cartesian
0.000 0.000 0.000
1.327 2.891 4.679
2.756 6.211 4.883
2.828 0.708 2.482
5.393 5.317 6.588
5.473 2.294 1.400
4.107 4.099 3.306
1.694 2.891 6.556
2.404 4.449 4.268
1.337 0.736 1.596
3.978 6.389 6.419
2.947 2.100 3.500
4.195 6.249 3.403
4.034 3.760 1.187
5.270 4.141 5.327
4.241 0.755 1.393
6.882 6.193 6.445
5.810 3.099 3.086
6.534 1.026 4.898
```